Entry from Materials Project: a geometry-optimized K2PtC4I2N4 structure (PBE).

As for the calculated total energy: -0.2364 Ha/atom. The calculated formation energy comes out at -266 meV/atom. The space group is P2_1/c (14).

Unit cell a=9.506 b=7.420 c=9.060 alpha=72.44 beta=90.00 gamma=90.00
Atoms (fractional coordinates):
N  0.567  0.683  0.818
N  0.433  0.317  0.182
N  0.067  0.317  0.682
N  0.566  0.683  0.338
N  0.434  0.317  0.662
N  0.934  0.683  0.838
N  0.066  0.317  0.162
N  0.933  0.683  0.318
I  0.724  0.105  0.968
I  0.276  0.895  0.032
I  0.776  0.105  0.468
I  0.224  0.895  0.532
K  0.207  0.469  0.383
K  0.707  0.531  0.117
K  0.293  0.469  0.883
K  0.793  0.531  0.617
C  0.542  0.804  0.703
C  0.958  0.804  0.203
C  0.539  0.802  0.394
C  0.961  0.802  0.894
C  0.039  0.198  0.106
C  0.458  0.196  0.297
C  0.461  0.198  0.606
C  0.042  0.196  0.797
Pt  0.000  0.000  0.000
Pt  0.500  0.000  0.500